## SiH14O6F6 (PBE-GGA)

Data for a geometry-optimized SiH14O6F6 structure.

E_form	-1.793	eV per atom

abc: 5.7707 14.0224 6.2139
angles: 90.00 109.86 90.00
Element x y z (fractional)
Si1 0.0000 0.0000 0.0000
Si2 0.0000 0.5000 0.5000
H1 0.1028 0.2005 0.0790
H2 0.1028 0.2995 0.5790
H3 0.1185 0.7111 0.0027
H4 0.1185 0.7889 0.5027
H5 0.1935 0.1870 0.6207
H6 0.1935 0.3130 0.1207
H7 0.2790 0.0584 0.5042
H8 0.2790 0.4416 0.0042
H9 0.3187 0.6376 0.2684
H10 0.3187 0.8624 0.7684
H11 0.4384 0.6509 0.0726
H12 0.4384 0.8491 0.5726
H13 0.4936 0.0889 0.7380
H14 0.4936 0.4111 0.2380
H15 0.5064 0.5889 0.7620
H16 0.5064 0.9111 0.2620
H17 0.5616 0.1509 0.4274
H18 0.5616 0.3491 0.9274
H19 0.6813 0.1376 0.2316
H20 0.6813 0.3624 0.7316
H21 0.7210 0.5584 0.9958
H22 0.7210 0.9416 0.4958
H23 0.8065 0.6870 0.8793
H24 0.8065 0.8130 0.3793
H25 0.8815 0.2111 0.4973
H26 0.8815 0.2889 0.9973
H27 0.8972 0.7005 0.4210
H28 0.8972 0.7995 0.9210
O1 0.0581 0.2345 0.6222
O2 0.0581 0.2655 0.1222
O3 0.3388 0.6831 0.1553
O4 0.3388 0.8169 0.6553
O5 0.3829 0.1119 0.5874
O6 0.3829 0.3881 0.0874
O7 0.6171 0.6119 0.9126
O8 0.6171 0.8881 0.4126
O9 0.6612 0.1831 0.3447
O10 0.6612 0.3169 0.8447
O11 0.9419 0.7345 0.8778
O12 0.9419 0.7655 0.3778
F1 0.0865 0.5164 0.7897
F2 0.0865 0.9836 0.2897
F3 0.1880 0.0985 0.0430
F4 0.1880 0.4015 0.5430
F5 0.2434 0.5716 0.4938
F6 0.2434 0.9284 0.9938
F7 0.7566 0.0716 0.0062
F8 0.7566 0.4284 0.5062
F9 0.8120 0.5985 0.4570
F10 0.8120 0.9015 0.9570
F11 0.9135 0.0164 0.7103
F12 0.9135 0.4836 0.2103